Ca3Eu | PBE | relaxed

Cell and atoms, written as POSCAR:
```
Ca3Eu
1.0
5.3950 1.6695 5.4225
-7.6110 0.5583 1.7484
-0.0132 -6.1758 1.9145
Ca Eu
6 2
Direct
0.3345 0.1673 0.7500
0.8327 0.1673 0.7500
0.1673 0.8327 0.2500
0.6655 0.8327 0.2500
0.8327 0.6655 0.7500
0.1673 0.3345 0.2500
0.6667 0.3333 0.2500
0.3333 0.6667 0.7500
```

Values from the calculation:
- VASP energy: -4.05 eV/atom
- Energy above the lowest structure with this stoichiometry: 0 meV per atom
- Symmetry: No. 194